[1]
A relaxed MgSi2 crystal, computed with PBE-GGA.

## Properties
Uncorrected energy   -48.36 eV per cell
SG   P1 (1)
DFT formation energy   0.1680 eV/atom
ΔE to the lowest computed polymorph   90 meV/atom

Unit cell a=3.709 b=5.256 c=12.568 alpha=101.24 beta=90.93 gamma=101.90
Fractional coordinates of all 12 atoms:
Mg: 0.000 0.000 0.000
Mg: 0.107 0.404 0.645
Mg: 0.327 0.343 0.227
Mg: 0.653 0.372 0.861
Si: 0.105 0.123 0.427
Si: 0.277 0.600 0.445
Si: 0.407 0.809 0.828
Si: 0.457 0.809 0.135
Si: 0.542 0.927 0.327
Si: 0.837 0.786 0.547
Si: 0.875 0.510 0.084
Si: 0.947 0.963 0.738

---

[2]
A relaxed LiNbP4O13 crystal, computed with PBE-GGA.

## Properties
Uncorrected energy   -559.94 eV per cell
SG   P1 (1)
DFT formation energy   -2.6805 eV/atom

Unit cell a=8.072 b=10.543 c=14.377 alpha=107.47 beta=98.19 gamma=99.36
Fractional coordinates of all 76 atoms:
Li: 0.000 0.000 0.000
Li: 0.002 0.500 0.000
Li: 0.248 0.000 0.498
Li: 0.975 0.486 0.508
Nb: 0.556 0.343 0.760
Nb: 0.559 0.843 0.758
Nb: 0.656 0.639 0.245
Nb: 0.658 0.139 0.242
P: 0.035 0.574 0.320
P: 0.041 0.077 0.323
P: 0.178 0.405 0.680
P: 0.183 0.908 0.683
P: 0.259 0.681 0.202
P: 0.261 0.184 0.199
P: 0.400 0.616 0.867
P: 0.404 0.116 0.871
P: 0.497 0.913 0.353
P: 0.501 0.410 0.354
P: 0.714 0.072 0.648
P: 0.719 0.570 0.649
P: 0.810 0.366 0.135
P: 0.815 0.867 0.139
P: 0.955 0.299 0.803
P: 0.958 0.802 0.800
O: 0.008 0.842 0.706
O: 0.010 0.341 0.711
O: 0.070 0.556 0.418
O: 0.093 0.331 0.890
O: 0.094 0.063 0.420
O: 0.100 0.836 0.886
O: 0.110 0.651 0.121
O: 0.115 0.156 0.116
O: 0.127 0.419 0.582
O: 0.149 0.927 0.585
O: 0.208 0.139 0.289
O: 0.209 0.638 0.296
O: 0.249 0.049 0.772
O: 0.250 0.550 0.765
O: 0.312 0.317 0.690
O: 0.312 0.817 0.695
O: 0.332 0.630 0.958
O: 0.341 0.840 0.253
O: 0.343 0.130 0.964
O: 0.347 0.341 0.252
O: 0.411 0.612 0.179
O: 0.414 0.114 0.177
O: 0.425 0.926 0.443
O: 0.438 0.413 0.444
O: 0.484 0.251 0.854
O: 0.488 0.749 0.851
O: 0.531 0.519 0.848
O: 0.536 0.020 0.848
O: 0.574 0.048 0.337
O: 0.577 0.548 0.339
O: 0.580 0.166 0.670
O: 0.592 0.668 0.666
O: 0.628 0.817 0.334
O: 0.637 0.936 0.664
O: 0.639 0.319 0.329
O: 0.640 0.437 0.666
O: 0.676 0.458 0.159
O: 0.680 0.958 0.159
O: 0.737 0.727 0.147
O: 0.740 0.225 0.144
O: 0.779 0.065 0.557
O: 0.793 0.553 0.559
O: 0.805 0.374 0.826
O: 0.809 0.875 0.825
O: 0.868 0.142 0.750
O: 0.869 0.366 0.042
O: 0.875 0.643 0.750
O: 0.879 0.866 0.047
O: 0.904 0.664 0.307
O: 0.905 0.163 0.311
O: 0.967 0.931 0.238
O: 0.968 0.432 0.232

---

[3]
A relaxed Tb3Pm crystal, computed with PBE-GGA.

## Properties
Uncorrected energy   -37.13 eV per cell
SG   P6_3/mmc (194)
DFT formation energy   0.0219 eV/atom
ΔE to the lowest computed polymorph   3 meV/atom

Unit cell a=7.259 b=7.259 c=5.822 alpha=90.00 beta=90.00 gamma=120.00
Fractional coordinates of all 8 atoms:
Tb: 0.166 0.331 0.250
Tb: 0.166 0.834 0.250
Tb: 0.331 0.166 0.750
Tb: 0.669 0.834 0.250
Tb: 0.834 0.166 0.750
Tb: 0.834 0.669 0.750
Pm: 0.333 0.667 0.750
Pm: 0.667 0.333 0.250

---

[4]
A relaxed UAl2Au2 crystal, computed with PBE-GGA.

## Properties
Uncorrected energy   -53.93 eV per cell
SG   P4/nmm (129)
DFT formation energy   -0.3268 eV/atom

Unit cell a=4.337 b=4.337 c=10.432 alpha=90.00 beta=90.00 gamma=90.00
Fractional coordinates of all 10 atoms:
U: 0.250 0.250 0.248
U: 0.750 0.750 0.752
Al: 0.250 0.250 0.866
Al: 0.250 0.750 0.500
Al: 0.750 0.250 0.500
Al: 0.750 0.750 0.134
Au: 0.250 0.250 0.632
Au: 0.250 0.750 0.000
Au: 0.750 0.250 0.000
Au: 0.750 0.750 0.368

---

Look up the uncorrected energy of the first one.
-48.36 eV per cell

---

What is the uncorrected energy in the second record?
-559.94 eV per cell

---

uncorrected energy of number 1 (MgSi2)?
-48.36 eV per cell

---

Which of these has the highest uncorrected energy?
Tb3Pm